[1]
VASP calculation (PBE-GGA) on an optimized crystal structure of Na2Al3Si3HNO12.

a b c (Å): 17.697 15.563 5.376
angles (deg): 90.00 90.00 90.00
Atoms (fractional coordinates):
Na1 0.090 0.230 0.000
Na2 0.095 0.775 0.996
Na3 0.405 0.275 0.496
Na4 0.410 0.730 0.500
Na5 0.590 0.270 0.000
Na6 0.595 0.725 0.996
Na7 0.905 0.225 0.496
Na8 0.910 0.770 0.500
Al1 0.040 0.605 0.564
Al2 0.044 0.899 0.550
Al3 0.191 0.243 0.526
Al4 0.309 0.743 0.026
Al5 0.456 0.399 0.050
Al6 0.460 0.105 0.064
Al7 0.540 0.895 0.564
Al8 0.544 0.601 0.550
Al9 0.691 0.257 0.526
Al10 0.809 0.757 0.026
Al11 0.956 0.101 0.050
Al12 0.960 0.395 0.064
Si1 0.053 0.108 0.553
Si2 0.062 0.387 0.563
Si3 0.175 0.546 0.593
Si4 0.325 0.046 0.093
Si5 0.438 0.887 0.063
Si6 0.447 0.608 0.053
Si7 0.553 0.392 0.553
Si8 0.562 0.113 0.563
Si9 0.675 0.954 0.593
Si10 0.825 0.454 0.093
Si11 0.938 0.613 0.063
Si12 0.947 0.892 0.053
H1 0.220 0.526 0.367
H2 0.280 0.026 0.867
H3 0.720 0.974 0.367
H4 0.780 0.474 0.867
N1 0.219 0.505 0.868
N2 0.281 0.005 0.368
N3 0.719 0.995 0.868
N4 0.781 0.495 0.368
O1 0.000 0.372 0.779
O2 0.000 0.628 0.279
O3 0.008 0.858 0.267
O4 0.020 0.140 0.281
O5 0.025 0.368 0.294
O6 0.065 0.006 0.566
O7 0.085 0.494 0.570
O8 0.130 0.841 0.612
O9 0.132 0.159 0.617
O10 0.133 0.639 0.615
O11 0.140 0.337 0.612
O12 0.204 0.222 0.204
O13 0.213 0.740 0.105
O14 0.287 0.240 0.605
O15 0.296 0.722 0.704
O16 0.360 0.837 0.112
O17 0.367 0.139 0.115
O18 0.368 0.659 0.117
O19 0.370 0.341 0.112
O20 0.415 0.994 0.070
O21 0.435 0.506 0.066
O22 0.475 0.868 0.794
O23 0.480 0.640 0.781
O24 0.492 0.358 0.767
O25 0.500 0.128 0.779
O26 0.500 0.872 0.279
O27 0.508 0.642 0.267
O28 0.520 0.360 0.281
O29 0.525 0.132 0.294
O30 0.565 0.494 0.566
O31 0.585 0.006 0.570
O32 0.630 0.659 0.612
O33 0.632 0.341 0.617
O34 0.633 0.861 0.615
O35 0.640 0.163 0.612
O36 0.704 0.278 0.204
O37 0.713 0.760 0.105
O38 0.787 0.260 0.605
O39 0.796 0.778 0.704
O40 0.860 0.663 0.112
O41 0.867 0.361 0.115
O42 0.868 0.841 0.117
O43 0.870 0.159 0.112
O44 0.915 0.506 0.070
O45 0.935 0.994 0.066
O46 0.975 0.632 0.794
O47 0.980 0.860 0.781
O48 0.992 0.142 0.767

Raw total energy: -564.43 eV/cell
Spin magnetization: 20.09 μB/cell
Energy of formation: -2.186 eV/atom
Symmetry: Pna2_1


[2]
VASP calculation (PBE-GGA) on an optimized crystal structure of Al11H2NO17.

a b c (Å): 22.866 5.654 5.654
angles (deg): 119.95 90.00 90.00
Atoms (fractional coordinates):
Al1 0.000 0.001 0.001
Al2 0.025 0.667 0.333
Al3 0.106 0.170 0.335
Al4 0.107 0.171 0.834
Al5 0.107 0.667 0.833
Al6 0.175 0.666 0.333
Al7 0.325 0.666 0.333
Al8 0.393 0.171 0.834
Al9 0.393 0.667 0.833
Al10 0.394 0.170 0.335
Al11 0.475 0.667 0.333
Al12 0.500 0.001 0.001
Al13 0.525 0.333 0.667
Al14 0.606 0.335 0.170
Al15 0.607 0.833 0.667
Al16 0.607 0.834 0.171
Al17 0.675 0.333 0.666
Al18 0.825 0.333 0.666
Al19 0.893 0.833 0.667
Al20 0.893 0.834 0.171
Al21 0.894 0.335 0.170
Al22 0.975 0.333 0.667
H1 0.250 0.399 0.866
H2 0.250 0.400 0.531
H3 0.750 0.531 0.400
H4 0.750 0.866 0.399
N1 0.250 0.311 0.655
N2 0.750 0.655 0.311
O1 0.049 0.315 0.157
O2 0.049 0.844 0.685
O3 0.050 0.844 0.158
O4 0.055 0.333 0.666
O5 0.141 0.002 0.001
O6 0.144 0.501 0.503
O7 0.144 0.501 0.998
O8 0.146 0.007 0.503
O9 0.250 0.622 0.312
O10 0.354 0.007 0.503
O11 0.356 0.501 0.503
O12 0.356 0.501 0.998
O13 0.359 0.002 0.001
O14 0.445 0.333 0.666
O15 0.450 0.844 0.158
O16 0.451 0.315 0.157
O17 0.451 0.844 0.685
O18 0.549 0.157 0.315
O19 0.549 0.685 0.844
O20 0.550 0.158 0.844
O21 0.555 0.666 0.333
O22 0.641 0.001 0.002
O23 0.644 0.503 0.501
O24 0.644 0.998 0.501
O25 0.646 0.503 0.007
O26 0.750 0.312 0.622
O27 0.854 0.503 0.007
O28 0.856 0.503 0.501
O29 0.856 0.998 0.501
O30 0.859 0.001 0.002
O31 0.945 0.666 0.333
O32 0.950 0.158 0.844
O33 0.951 0.157 0.315
O34 0.951 0.685 0.844

Raw total energy: -440.75 eV/cell
Spin magnetization: 4.00 μB/cell
Energy of formation: -2.955 eV/atom
Symmetry: Ama2


[3]
VASP calculation (PBE-GGA) on an optimized crystal structure of Al4P5HN2O21.

a b c (Å): 5.154 21.886 8.400
angles (deg): 90.00 91.45 90.00
Atoms (fractional coordinates):
Al1 0.023 0.000 0.186
Al2 0.033 0.261 0.463
Al3 0.469 0.166 0.016
Al4 0.475 0.423 0.316
Al5 0.525 0.923 0.684
Al6 0.531 0.666 0.984
Al7 0.967 0.761 0.537
Al8 0.977 0.500 0.814
P1 0.004 0.908 0.476
P2 0.030 0.720 0.173
P3 0.032 0.636 0.743
P4 0.476 0.785 0.747
P5 0.493 0.516 0.025
P6 0.507 0.016 0.975
P7 0.524 0.285 0.253
P8 0.968 0.136 0.257
P9 0.970 0.220 0.827
P10 0.996 0.408 0.524
H1 0.066 0.818 0.133
H2 0.934 0.318 0.867
N1 0.011 0.571 0.310
N2 0.500 0.128 0.572
N3 0.500 0.628 0.428
N4 0.989 0.071 0.690
O1 0.012 0.176 0.406
O2 0.016 0.068 0.300
O3 0.023 0.782 0.070
O4 0.040 0.438 0.689
O5 0.059 0.340 0.543
O6 0.079 0.737 0.347
O7 0.167 0.157 0.136
O8 0.175 0.438 0.402
O9 0.189 0.782 0.694
O10 0.209 0.505 0.970
O11 0.234 0.188 0.849
O12 0.251 0.680 0.115
O13 0.289 0.919 0.530
O14 0.312 0.642 0.808
O15 0.328 0.989 0.103
O16 0.358 0.262 0.391
O17 0.450 0.084 0.951
O18 0.458 0.982 0.816
O19 0.460 0.353 0.214
O20 0.479 0.247 0.102
O21 0.490 0.346 0.821
O22 0.510 0.846 0.179
O23 0.521 0.747 0.898
O24 0.540 0.853 0.786
O25 0.542 0.482 0.184
O26 0.550 0.584 0.049
O27 0.642 0.762 0.609
O28 0.672 0.489 0.897
O29 0.688 0.142 0.192
O30 0.711 0.419 0.470
O31 0.749 0.180 0.885
O32 0.766 0.688 0.151
O33 0.791 0.005 0.030
O34 0.811 0.282 0.306
O35 0.825 0.938 0.598
O36 0.833 0.657 0.864
O37 0.921 0.237 0.653
O38 0.941 0.840 0.457
O39 0.960 0.938 0.311
O40 0.977 0.282 0.930
O41 0.984 0.568 0.700
O42 0.988 0.676 0.594

Raw total energy: -445.49 eV/cell
Spin magnetization: 19.31 μB/cell
Energy of formation: -2.156 eV/atom
Symmetry: P2_1


- Among the records above, which one has the lowest spin magnetization?
  Al11H2NO17